1.
# Mg3Ga2Ge3O12 r²SCAN relaxed
# **Formation energy**: -2.2418 eV per atom
data_Mg3Ga2Ge3O12
_chemical_formula_sum 'Mg24 Ga16 Ge24 O96'
_space_group_name_H-M_alt 'I a -3 d'
_space_group_IT_number 230
_space_group_name_Hall '-I 4bd 2c 3'
_cell_length_a 11.882
_cell_length_b 11.882
_cell_length_c 11.882
_cell_angle_alpha 90.00
_cell_angle_beta 90.00
_cell_angle_gamma 90.00
loop_
_atom_site_label
_atom_site_fract_x
_atom_site_fract_y
_atom_site_fract_z
_atom_site_occupancy
Mg1 0.000 0.250 0.125 1
Ga1 0.000 0.000 0.000 1
Ge1 0.000 0.250 0.375 1
O1 0.028 0.056 0.653 1

=====

2.
# Sc2Mn12GaGe11 r²SCAN relaxed
# **Formation energy**: -0.3405 eV per atom
data_Sc2Mn12GaGe11
_chemical_formula_sum 'Sc2 Mn12 Ga1 Ge11'
_space_group_name_H-M_alt 'P -6 m 2'
_space_group_IT_number 187
_space_group_name_Hall 'P -6 2'
_cell_length_a 5.1030
_cell_length_b 5.1030
_cell_length_c 16.2793
_cell_angle_alpha 90.00
_cell_angle_beta 90.00
_cell_angle_gamma 120.00
loop_
_atom_site_label
_atom_site_fract_x
_atom_site_fract_y
_atom_site_fract_z
_atom_site_occupancy
Sc1 0.0000 0.0000 0.2495 1
Mn1 0.0003 0.5002 0.1244 1
Mn2 0.5007 0.0013 0.3733 1
Ga1 0.3333 0.6667 0.5000 1
Ge1 0.0000 0.0000 0.0807 1
Ge2 0.0000 0.0000 0.4188 1
Ge3 0.3333 0.6667 0.0000 1
Ge4 0.3333 0.6667 0.2492 1
Ge5 0.6667 0.3333 0.0000 1
Ge6 0.6667 0.3333 0.2488 1
Ge7 0.6667 0.3333 0.5000 1

=====

3.
# Sr3Ga2Ge3O12 r²SCAN relaxed
# **Formation energy**: -2.4056 eV per atom
data_Sr3Ga2Ge3O12
_chemical_formula_sum 'Sr24 Ga16 Ge24 O96'
_space_group_name_H-M_alt 'I a -3 d'
_space_group_IT_number 230
_space_group_name_Hall '-I 4bd 2c 3'
_cell_length_a 12.571
_cell_length_b 12.571
_cell_length_c 12.571
_cell_angle_alpha 90.00
_cell_angle_beta 90.00
_cell_angle_gamma 90.00
loop_
_atom_site_label
_atom_site_fract_x
_atom_site_fract_y
_atom_site_fract_z
_atom_site_occupancy
Sr1 0.000 0.250 0.125 1
Ga1 0.000 0.000 0.000 1
Ge1 0.000 0.250 0.375 1
O1 0.037 0.046 0.649 1

=====

4.
# GaGePt6 r²SCAN relaxed
# **Formation energy**: -0.4133 eV per atom
data_GaGePt6
_chemical_formula_sum 'Ga2 Ge2 Pt12'
_space_group_name_H-M_alt 'I -4 2 m'
_space_group_IT_number 121
_space_group_name_Hall 'I -4 2'
_cell_length_a 5.521
_cell_length_b 5.521
_cell_length_c 7.952
_cell_angle_alpha 90.00
_cell_angle_beta 90.00
_cell_angle_gamma 90.00
loop_
_atom_site_label
_atom_site_fract_x
_atom_site_fract_y
_atom_site_fract_z
_atom_site_occupancy
Ga1 0.000 0.000 0.000 1
Ge1 0.000 0.000 0.500 1
Pt1 0.000 0.500 0.000 1
Pt2 0.198 0.198 0.745 1

=====

5.
# SrGaGe r²SCAN relaxed
# **Formation energy**: -0.6053 eV per atom
data_SrGaGe
_chemical_formula_sum 'Sr1 Ga1 Ge1'
_space_group_name_H-M_alt 'P -6 m 2'
_space_group_IT_number 187
_space_group_name_Hall 'P -6 2'
_cell_length_a 4.2694
_cell_length_b 4.2694
_cell_length_c 4.7117
_cell_angle_alpha 90.00
_cell_angle_beta 90.00
_cell_angle_gamma 120.00
loop_
_atom_site_label
_atom_site_fract_x
_atom_site_fract_y
_atom_site_fract_z
_atom_site_occupancy
Sr1 0.0000 0.0000 0.0000 1
Ga1 0.3333 0.6667 0.5000 1
Ge1 0.6667 0.3333 0.5000 1

=====

6.
# SrGaGe r²SCAN relaxed
# **Formation energy**: -0.6249 eV per atom
data_SrGaGe
_chemical_formula_sum 'Sr4 Ga4 Ge4'
_space_group_name_H-M_alt 'P 63/m m c'
_space_group_IT_number 194
_space_group_name_Hall '-P 6c 2c'
_cell_length_a 4.2537
_cell_length_b 4.2537
_cell_length_c 19.0421
_cell_angle_alpha 90.00
_cell_angle_beta 90.00
_cell_angle_gamma 120.00
loop_
_atom_site_label
_atom_site_fract_x
_atom_site_fract_y
_atom_site_fract_z
_atom_site_occupancy
Sr1 0.0000 0.0000 0.0000 1
Sr2 0.0000 0.0000 0.2500 1
Ga1 0.3333 0.6667 0.1429 1
Ge1 0.3333 0.6667 0.6123 1

=====

7.
# V6GaGe r²SCAN relaxed
# **Formation energy**: -0.2977 eV per atom
data_V6GaGe
_chemical_formula_sum 'V6 Ga1 Ge1'
_space_group_name_H-M_alt 'P m -3'
_space_group_IT_number 200
_space_group_name_Hall '-P 2 2 3'
_cell_length_a 4.750
_cell_length_b 4.750
_cell_length_c 4.750
_cell_angle_alpha 90.00
_cell_angle_beta 90.00
_cell_angle_gamma 90.00
loop_
_atom_site_label
_atom_site_fract_x
_atom_site_fract_y
_atom_site_fract_z
_atom_site_occupancy
V1 0.000 0.252 0.500 1
Ga1 0.000 0.000 0.000 1
Ge1 0.500 0.500 0.500 1

=====

8.
# YbGaGe r²SCAN relaxed
# **Formation energy**: -0.5853 eV per atom
data_YbGaGe
_chemical_formula_sum 'Yb4 Ga4 Ge4'
_space_group_name_H-M_alt 'P 63/m m c'
_space_group_IT_number 194
_space_group_name_Hall '-P 6c 2c'
_cell_length_a 4.1649
_cell_length_b 4.1649
_cell_length_c 15.6113
_cell_angle_alpha 90.00
_cell_angle_beta 90.00
_cell_angle_gamma 120.00
loop_
_atom_site_label
_atom_site_fract_x
_atom_site_fract_y
_atom_site_fract_z
_atom_site_occupancy
Yb1 0.0000 0.0000 0.0000 1
Yb2 0.0000 0.0000 0.2500 1
Ga1 0.3333 0.6667 0.1347 1
Ge1 0.3333 0.6667 0.6172 1